Model a:
Compound: BaAlCuAgO5
Source: Materials Project
Functional: PBE
Structure: optimized geometry

Total moment, μB per cell: 0.1

CIF file:
```
data_BaAlCuAgO5
_chemical_formula_sum 'Ba1 Al1 Cu1 Ag1 O5'
_symmetry_space_group_name_H-M 'P 1'
_symmetry_Int_Tables_number 1
_cell_length_a 3.931
_cell_length_b 4.524
_cell_length_c 7.180
_cell_angle_alpha 91.86
_cell_angle_beta 103.75
_cell_angle_gamma 91.28
loop_
_symmetry_equiv_pos_as_xyz
'x,y,z'
loop_
_atom_site_label
_atom_site_type_symbol
_atom_site_fract_x
_atom_site_fract_y
_atom_site_fract_z
Ba1 Ba 0.000 0.000 0.000
Al1 Al 0.540 0.119 0.531
Cu1 Cu 0.314 0.502 0.729
Ag1 Ag 0.712 0.519 0.291
O1 O 0.247 0.429 0.458
O2 O 0.381 0.934 0.708
O3 O 0.398 0.513 0.998
O4 O 0.647 0.005 0.313
O5 O 0.826 0.377 0.709
```

Model b:
Compound: BaAlCuAgO5
Source: Materials Project
Functional: PBE
Structure: optimized geometry

Total moment, μB per cell: 0.0

CIF file:
```
data_BaAlCuAgO5
_chemical_formula_sum 'Ba1 Al1 Cu1 Ag1 O5'
_symmetry_space_group_name_H-M 'P 4 m m'
_symmetry_Int_Tables_number 99
_cell_length_a 3.769
_cell_length_b 3.769
_cell_length_c 8.318
_cell_angle_alpha 90.00
_cell_angle_beta 90.00
_cell_angle_gamma 90.00
loop_
_symmetry_equiv_pos_as_xyz
'x,y,z'
'-y,x,z'
'-x,-y,z'
'y,-x,z'
'-x,y,z'
'y,x,z'
'x,-y,z'
'-y,-x,z'
loop_
_atom_site_label
_atom_site_type_symbol
_atom_site_fract_x
_atom_site_fract_y
_atom_site_fract_z
Ba1 Ba 0.000 0.000 0.000
Al1 Al 0.000 0.000 0.452
Cu1 Cu 0.500 0.500 0.244
Ag1 Ag 0.500 0.500 0.687
O1 O 0.000 0.500 0.300
O2 O 0.000 0.500 0.584
O3 O 0.500 0.500 0.973
```

Which one sits at the bottom of the stability order? model b does.